Tl2SnTe5 r²SCAN relaxed; size of the total moment = 0.0 μB per formula unit; space-group type = I4/mcm; E_tot = -32.52 eV per atom; calculated formation energy = -241.6 meV per atom
1.0
6.8840 3.0652 6.1881
-2.6254 -3.9825 8.5044
1.1799 -4.4217 -8.6101
Te Tl Sn
10 4 2
Cartesian
4.0319 -0.6782 -1.2110
-0.0990 -5.8504 -2.5073
2.5553 -3.2561 4.8773
1.7264 -1.8337 -2.7857
-0.7227 -4.2021 -0.0528
4.3808 0.7605 4.5990
1.0577 -6.0995 1.4834
5.5375 0.5114 8.5898
2.8831 -2.0829 1.2051
3.7121 -3.5052 8.8681
3.1939 -0.6879 11.0194
0.0000 0.0000 0.0000
2.1293 -0.4586 7.3463
1.0646 -0.2293 3.6731
0.3419 -4.4314 3.6203
5.0966 -0.9076 2.4622



Np2O5 r²SCAN relaxed; size of the total moment = 4.0 μB per formula unit; E_tot = -31.37 eV per atom; calculated formation energy = -3385.3 meV per atom
1.0
6.4761 -0.2257 -1.3748
-0.6175 6.9702 -4.0509
1.9917 0.7087 9.0641
Np O
8 20
Cartesian
3.1128 0.4752 6.4544
4.7375 6.9781 -2.8160
5.6308 5.6024 2.7870
6.4535 2.0925 4.6961
2.2197 1.8509 0.8513
2.8041 3.9603 4.4289
1.3967 5.3606 -1.0576
5.0462 3.4930 -0.7905
1.0543 4.4495 -2.6746
7.3234 4.0306 3.2351
6.7960 3.0036 6.3131
0.5270 3.4226 0.4032
2.3011 2.2460 5.5935
5.5492 5.2072 -1.9552
3.0894 3.7890 -0.6093
4.7609 3.6642 4.2478
4.9896 0.6403 5.8171
0.7556 0.3987 1.9725
7.0947 7.0547 1.6660
4.5433 1.7787 0.3742
2.5621 2.7620 2.4682
6.0429 1.1817 3.0953
3.3071 5.6745 3.2643
6.0414 6.5131 4.3880
1.8090 0.9401 -0.7496
1.8073 6.2714 0.5433
5.2882 4.6915 1.1701
2.8608 6.8129 -2.1787



CsPbBr3 r²SCAN relaxed; size of the total moment = 0.0 μB per formula unit; space-group type = Pnma; E_tot = -25.73 eV per atom; calculated formation energy = -1497.4 meV per atom
1.0
-2.6670 -0.0564 3.7586
7.2030 -4.4275 5.0446
6.1099 15.1388 4.5626
Cs Pb Br
4 4 12
Cartesian
2.7348 9.7376 6.3256
7.2937 9.8961 9.5629
3.3522 0.7588 3.8030
7.9111 0.9173 7.0403
7.5464 5.5570 6.8511
6.2417 13.4616 6.0439
4.4042 -2.8067 7.3219
3.0995 5.0979 6.5148
10.4204 9.0862 11.7693
6.3243 10.5949 6.0595
0.4221 -1.5204 4.5156
0.2255 1.5687 1.5966
7.0716 3.8179 9.3140
5.5037 3.5091 5.3709
4.3216 0.0600 7.3063
5.1423 7.1458 7.9950
9.4502 7.2026 8.2267
10.2239 12.1753 8.8502
3.5744 6.8370 4.0519
1.1957 3.4523 5.1392



Ga3B4Pt9 r²SCAN relaxed; size of the total moment = 0.0 μB per formula unit; space-group type = P-62c; E_tot = -33.39 eV per atom; calculated formation energy = -445.5 meV per atom
1.0
4.3631 -7.5571 0.0000
4.3632 7.5571 0.0000
0.0000 0.0000 6.5583
Ga B Pt
6 8 18
Cartesian
2.4034 3.2910 1.6396
4.6743 0.4358 1.6396
2.4034 -3.2911 4.9187
6.0116 -3.8302 4.9187
6.0117 3.8302 1.6396
4.6745 -0.4357 4.9187
7.9418 1.3587 6.5583
1.5688 0.0000 6.5583
4.3632 -2.5190 1.6396
1.5688 0.0000 3.2792
4.3631 2.5191 4.9187
3.5787 6.1985 3.2792
7.9418 1.3587 3.2792
3.5787 6.1985 6.5583
0.8377 1.3460 1.6396
5.9153 -2.0775 0.1463
5.9153 -2.0775 3.1328
7.1417 0.0524 1.6396
3.9694 -4.0840 3.1328
5.9153 2.0774 6.4119
7.1418 -0.0524 4.9187
3.2046 1.3957 6.4119
5.1100 -6.1586 4.9187
3.2047 -1.3956 3.1328
5.1100 6.1586 1.6396
5.9153 2.0774 3.4256
3.2047 -1.3956 0.1463
3.9695 4.0841 3.4256
3.9694 -4.0840 0.1464
3.9695 4.0841 6.4119
0.8377 -1.3460 4.9187
3.2046 1.3957 3.4256



Ce2NiRu3 r²SCAN relaxed; size of the total moment = 0.9 μB per formula unit; space-group type = R-3m; E_tot = -25.31 eV per atom; calculated formation energy = -317.2 meV per atom
1.0
4.4450 -2.6563 -0.0084
4.4450 2.6563 -0.0084
2.8657 0.0000 4.3130
Ce Ru Ni
2 3 1
Cartesian
4.4123 0.0000 1.6125
7.3434 0.0000 2.6837
1.4329 0.0000 2.1565
2.2225 -1.3282 -0.0042
2.2225 1.3281 -0.0042
0.0000 0.0000 0.0000



Ca3AsI3 r²SCAN relaxed; size of the total moment = 0.0 μB per formula unit; space-group type = I4_132; E_tot = -17.40 eV per atom; calculated formation energy = -1758.5 meV per atom
1.0
2.9873 -9.8397 3.3967
-10.5943 1.3710 1.7796
2.0308 0.9315 -10.5968
Ca As I
12 4 12
Cartesian
0.6928 -2.5606 0.6052
-0.0855 -4.0108 -2.9112
0.2614 0.1390 -2.7047
-3.2564 -3.7368 -0.0303
3.0636 -6.9074 -2.5624
-6.6766 -1.3628 -0.2522
-0.5855 -1.2478 -6.6782
-6.4667 -3.7276 2.8199
0.2919 -6.8109 0.1547
-3.5672 1.2134 -7.0332
-2.6880 0.0781 0.4141
-3.2886 -1.2147 -3.5040
-1.6332 0.8085 -4.8535
-4.5503 -1.7744 1.7389
-1.3941 -1.8843 -1.3552
2.0013 -4.6870 -0.9509
-6.3117 -5.0561 -6.2186
-1.8455 -8.8856 1.6321
-2.2887 -3.5912 -5.3660
-2.9193 -7.8245 -5.8590
1.1121 -6.3041 -4.9998
0.8790 -3.6797 -8.4090
-5.7161 -0.7316 -5.7243
-5.1542 -6.1543 1.2382
-2.0929 -6.2482 -1.8728
-5.4480 -3.4470 -2.3165
-8.7917 -0.6245 -2.7092
-6.0323 -7.7504 -2.7597



GdInCu4 r²SCAN relaxed; size of the total moment = 7.0 μB per formula unit; space-group type = F-43m; E_tot = -18.50 eV per atom; calculated formation energy = -271.2 meV per atom
1.0
0.0000 3.6027 3.6027
3.6027 0.0000 3.6027
3.6027 3.6027 0.0000
Cu Gd In
4 1 1
Cartesian
2.7055 2.7055 4.4999
4.4999 2.7055 2.7055
4.4999 4.4999 4.4999
2.7055 4.4999 2.7055
0.0000 0.0000 0.0000
1.8014 1.8014 1.8014



Na3UF8 r²SCAN relaxed; size of the total moment = 1.0 μB per formula unit; space-group type = Immm; E_tot = -13.10 eV per atom; calculated formation energy = -3461.8 meV per atom
1.0
-2.6952 2.6855 5.3648
2.6947 -2.6860 5.3648
2.6951 2.6858 -5.3650
F Na U
8 3 1
Cartesian
1.2676 1.2625 -1.2655
1.4270 1.4229 6.6300
-1.4276 1.4230 4.0993
4.1222 1.2623 1.2652
1.4271 1.4230 4.0992
1.2675 1.2624 1.2654
4.1222 1.2624 -1.2657
-1.4276 1.4230 6.6302
-0.0002 -0.0002 5.3648
-0.0002 2.6855 2.6827
2.6948 -0.0002 2.6819
0.0000 0.0000 0.0000